(1)
{"formula": "CsLaP4O12", "functional": "GGA-PBE", "state": "optimized geometry", "cell": [[9.395, 0.000, 0.000], [0.000, 7.322, 0.000], [0.000, 1.447, 8.850]], "species": ["Cs", "Cs", "La", "La", "P", "P", "P", "P", "P", "P", "P", "P", "O", "O", "O", "O", "O", "O", "O", "O", "O", "O", "O", "O", "O", "O", "O", "O", "O", "O", "O", "O", "O", "O", "O", "O"], "fractional_positions": [[0.434, 0.673, 0.825], [0.934, 0.327, 0.175], [0.599, 0.798, 0.303], [0.099, 0.202, 0.697], [0.474, 0.354, 0.544], [0.524, 0.306, 0.228], [0.207, 0.940, 0.375], [0.323, 0.083, 0.073], [0.974, 0.646, 0.456], [0.707, 0.060, 0.625], [0.823, 0.917, 0.927], [0.024, 0.694, 0.772], [0.652, 0.923, 0.532], [0.698, 0.959, 0.801], [0.566, 0.505, 0.183], [0.441, 0.276, 0.389], [0.545, 0.540, 0.510], [0.152, 0.077, 0.468], [0.340, 0.337, 0.635], [0.851, 0.148, 0.594], [0.250, 0.143, 0.926], [0.087, 0.787, 0.364], [0.066, 0.495, 0.817], [0.198, 0.041, 0.199], [0.587, 0.213, 0.636], [0.941, 0.724, 0.611], [0.134, 0.843, 0.768], [0.928, 0.074, 0.910], [0.750, 0.857, 0.074], [0.351, 0.852, 0.406], [0.634, 0.157, 0.232], [0.428, 0.926, 0.090], [0.045, 0.460, 0.490], [0.840, 0.663, 0.365], [0.894, 0.729, 0.883], [0.394, 0.271, 0.117]]}


(2)
{"formula": "KAg2SbS3", "functional": "GGA-PBE", "state": "optimized geometry", "cell": [[-3.160, -3.090, 5.246], [8.443, -3.361, 2.985], [1.509, 9.351, 5.746]], "species": ["K", "K", "K", "K", "Ag", "Ag", "Ag", "Ag", "Ag", "Ag", "Ag", "Ag", "Sb", "Sb", "Sb", "Sb", "S", "S", "S", "S", "S", "S", "S", "S", "S", "S", "S", "S"], "fractional_positions": [[0.299, 0.572, 0.634], [0.701, 0.428, 0.366], [0.200, 0.423, 0.128], [0.800, 0.577, 0.872], [0.517, 0.735, 0.142], [0.483, 0.265, 0.858], [0.084, 0.839, 0.047], [0.916, 0.161, 0.953], [0.024, 0.103, 0.344], [0.976, 0.897, 0.656], [0.408, 0.159, 0.544], [0.592, 0.841, 0.456], [0.536, 0.056, 0.148], [0.464, 0.944, 0.852], [0.049, 0.792, 0.346], [0.951, 0.208, 0.654], [0.640, 0.087, 0.363], [0.360, 0.913, 0.637], [0.358, 0.661, 0.337], [0.642, 0.339, 0.663], [0.644, 0.288, 0.074], [0.356, 0.712, 0.926], [0.175, 0.085, 0.140], [0.825, 0.915, 0.860], [0.886, 0.688, 0.519], [0.114, 0.312, 0.481], [0.879, 0.667, 0.171], [0.121, 0.333, 0.829]]}


(3)
{"formula": "La2Co3", "functional": "GGA-PBE", "state": "optimized geometry", "cell": [[2.399, -5.163, 0.000], [2.399, 5.163, 0.000], [0.000, 0.000, 7.743]], "species": ["La", "La", "La", "La", "Co", "Co", "Co", "Co", "Co", "Co"], "fractional_positions": [[0.850, 0.150, 0.588], [0.150, 0.850, 0.412], [0.350, 0.650, 0.912], [0.650, 0.350, 0.088], [0.839, 0.661, 0.750], [0.161, 0.339, 0.250], [0.339, 0.161, 0.750], [0.661, 0.839, 0.250], [0.000, 0.000, 0.000], [0.500, 0.500, 0.500]]}


(4)
{"formula": "Lu20Os5I24", "functional": "GGA-PBE", "state": "optimized geometry", "cell": [[11.918, 0.000, 0.000], [-4.160, 12.011, 0.000], [-4.357, -4.080, 13.006]], "species": ["Lu", "Lu", "Lu", "Lu", "Lu", "Lu", "Lu", "Lu", "Lu", "Lu", "Lu", "Lu", "Lu", "Lu", "Lu", "Lu", "Lu", "Lu", "Lu", "Lu", "Os", "Os", "Os", "Os", "Os", "I", "I", "I", "I", "I", "I", "I", "I", "I", "I", "I", "I", "I", "I", "I", "I", "I", "I", "I", "I", "I", "I", "I", "I"], "fractional_positions": [[0.496, 0.024, 0.706], [0.504, 0.976, 0.294], [0.735, 0.999, 0.642], [0.265, 0.001, 0.358], [0.814, 0.167, 0.898], [0.186, 0.833, 0.102], [0.482, 0.220, 0.577], [0.518, 0.780, 0.423], [0.722, 0.196, 0.514], [0.278, 0.804, 0.486], [0.797, 0.448, 0.715], [0.203, 0.552, 0.285], [0.974, 0.289, 0.761], [0.026, 0.711, 0.239], [0.636, 0.325, 0.851], [0.364, 0.675, 0.149], [0.115, 0.587, 0.904], [0.885, 0.413, 0.096], [0.874, 0.613, 0.969], [0.126, 0.387, 0.031], [0.500, 0.000, 0.500], [0.708, 0.210, 0.709], [0.292, 0.790, 0.291], [0.904, 0.405, 0.904], [0.096, 0.595, 0.096], [0.263, 0.823, 0.697], [0.737, 0.177, 0.303], [0.762, 0.772, 0.567], [0.238, 0.228, 0.433], [0.662, 0.896, 0.813], [0.338, 0.104, 0.187], [0.339, 0.180, 0.727], [0.661, 0.820, 0.273], [0.950, 0.118, 0.566], [0.050, 0.882, 0.434], [0.631, 0.399, 0.484], [0.369, 0.601, 0.516], [0.053, 0.123, 0.881], [0.947, 0.877, 0.119], [0.608, 0.166, 0.991], [0.392, 0.834, 0.009], [0.004, 0.238, 0.154], [0.996, 0.762, 0.846], [0.305, 0.467, 0.913], [0.695, 0.533, 0.087], [0.028, 0.478, 0.648], [0.972, 0.522, 0.352], [0.599, 0.530, 0.770], [0.401, 0.470, 0.230]]}


(5)
{"formula": "DySnAu", "functional": "GGA-PBE", "state": "optimized geometry", "cell": [[3.907, -2.042, 1.691], [-1.326, -0.775, -4.465], [4.002, 5.836, -2.202]], "species": ["Dy", "Dy", "Sn", "Sn", "Au", "Au"], "fractional_positions": [[0.000, 0.000, 0.500], [0.000, 0.000, 0.000], [0.333, 0.667, 0.250], [0.667, 0.333, 0.750], [0.333, 0.667, 0.750], [0.667, 0.333, 0.250]]}


(6)
{"formula": "Er2InNi2", "functional": "GGA-PBE", "state": "optimized geometry", "cell": [[3.889, 5.503, 2.935], [-4.825, -5.475, 0.874], [2.696, -2.268, 0.679]], "species": ["Er", "Er", "In", "Ni", "Ni"], "fractional_positions": [[0.361, 0.639, 0.500], [0.639, 0.361, 0.500], [0.000, 0.000, 0.000], [0.199, 0.801, 0.000], [0.801, 0.199, 0.000]]}


(7)
{"formula": "NaMg14CO16", "functional": "GGA-PBE", "state": "optimized geometry", "cell": [[8.581, 0.000, 0.000], [0.000, 8.397, 0.000], [0.000, 0.000, 4.279]], "species": ["Na", "Mg", "Mg", "Mg", "Mg", "Mg", "Mg", "Mg", "Mg", "Mg", "Mg", "Mg", "Mg", "Mg", "Mg", "C", "O", "O", "O", "O", "O", "O", "O", "O", "O", "O", "O", "O", "O", "O", "O", "O"], "fractional_positions": [[0.000, 0.000, 0.000], [0.500, 0.000, 0.000], [0.500, 0.500, 0.000], [0.000, 0.251, 0.500], [0.000, 0.749, 0.500], [0.500, 0.249, 0.500], [0.500, 0.751, 0.500], [0.247, 0.000, 0.500], [0.245, 0.500, 0.500], [0.753, 0.000, 0.500], [0.755, 0.500, 0.500], [0.252, 0.250, 0.000], [0.252, 0.750, 0.000], [0.748, 0.250, 0.000], [0.748, 0.750, 0.000], [0.000, 0.500, 0.000], [0.261, 0.000, 0.000], [0.245, 0.500, 0.000], [0.739, 0.000, 0.000], [0.755, 0.500, 0.000], [0.247, 0.251, 0.500], [0.247, 0.749, 0.500], [0.753, 0.251, 0.500], [0.753, 0.749, 0.500], [0.000, 0.000, 0.500], [0.000, 0.500, 0.500], [0.500, 0.000, 0.500], [0.500, 0.500, 0.500], [0.000, 0.293, 0.000], [0.000, 0.707, 0.000], [0.500, 0.255, 0.000], [0.500, 0.745, 0.000]], "de_polymorph_ev_per_atom": 0.000}


(8)
{"formula": "YCo2B2C", "functional": "GGA-PBE", "state": "optimized geometry", "cell": [[-1.769, 1.769, 5.186], [1.769, -1.769, 5.186], [1.769, 1.769, -5.186]], "species": ["Y", "Co", "Co", "B", "B", "C"], "fractional_positions": [[0.500, 0.500, 0.000], [0.750, 0.250, 0.500], [0.250, 0.750, 0.500], [0.145, 0.145, 0.000], [0.855, 0.855, 0.000], [0.000, 0.000, 0.000]]}


| no. | energy of formation (eV per atom) |
| --- | --- |
| 1 | -2.940 |
| 2 | -0.659 |
| 3 | -0.091 |
| 4 | -1.277 |
| 5 | -0.722 |
| 6 | -0.544 |
| 7 | -2.629 |
| 8 | -0.440 |